DFT (PBE) results for crystalline Na2Nb8Si9S3O48 at its relaxed geometry.

Properties
Space group   No. 1
Calculated formation energy   -2.87 eV/atom
Energy   -1650.62 eV per cell

a = 8.915 Å, b = 15.481 Å, c = 23.048 Å
α = 89.95°, β = 89.98°, γ = 89.94°
Positions (direct):
Na 0.000 0.000 0.000
Na 0.001 0.003 0.502
Na 0.493 0.503 0.997
Na 0.495 0.500 0.505
Na 0.497 0.835 0.835
Na 0.997 0.333 0.338
Nb 0.000 0.997 0.153
Nb 0.005 0.001 0.354
Nb 0.006 0.328 0.478
Nb 0.007 0.675 0.030
Nb 0.486 0.174 0.531
Nb 0.486 0.829 0.976
Nb 0.487 0.501 0.853
Nb 0.488 0.496 0.363
Nb 0.493 0.176 0.308
Nb 0.493 0.496 0.140
Nb 0.493 0.498 0.653
Nb 0.497 0.831 0.192
Nb 0.498 0.840 0.478
Nb 0.502 0.171 0.019
Nb 0.505 0.169 0.814
Nb 0.507 0.841 0.694
Nb 0.988 0.996 0.643
Nb 0.992 0.671 0.522
Nb 0.993 0.334 0.190
Nb 0.995 0.340 0.976
Nb 0.995 0.674 0.318
Nb 0.995 0.994 0.861
Nb 0.997 0.329 0.693
Nb 0.999 0.677 0.807
Si 0.131 0.525 0.419
Si 0.133 0.477 0.084
Si 0.140 0.815 0.420
Si 0.144 0.862 0.751
Si 0.202 0.501 0.752
Si 0.213 0.841 0.086
Si 0.216 0.164 0.419
Si 0.278 0.664 0.918
Si 0.281 0.341 0.586
Si 0.290 0.001 0.252
Si 0.350 0.362 0.251
Si 0.354 0.026 0.919
Si 0.354 0.977 0.586
Si 0.355 0.313 0.917
Si 0.639 0.645 0.752
Si 0.640 0.693 0.085
Si 0.641 0.356 0.754
Si 0.642 0.306 0.420
Si 0.707 0.669 0.419
Si 0.712 0.330 0.084
Si 0.714 0.005 0.752
Si 0.780 0.831 0.585
Si 0.788 0.168 0.918
Si 0.851 0.856 0.254
Si 0.852 0.807 0.920
Si 0.853 0.145 0.252
Si 0.854 0.192 0.585
S 0.139 0.191 0.085
S 0.141 0.143 0.752
S 0.353 0.643 0.252
S 0.354 0.691 0.585
S 0.640 0.979 0.085
S 0.641 0.027 0.419
S 0.783 0.503 0.252
S 0.852 0.527 0.919
S 0.854 0.478 0.585
O 0.061 0.908 0.412
O 0.062 0.572 0.075
O 0.063 0.429 0.426
O 0.063 0.765 0.475
O 0.065 0.768 0.759
O 0.066 0.571 0.360
O 0.067 0.428 0.142
O 0.067 0.908 0.695
O 0.069 0.104 0.092
O 0.071 0.106 0.804
O 0.071 0.231 0.033
O 0.071 0.231 0.745
O 0.099 0.082 0.411
O 0.100 0.925 0.092
O 0.101 0.585 0.764
O 0.103 0.416 0.739
O 0.107 0.251 0.425
O 0.108 0.755 0.078
O 0.109 0.585 0.476
O 0.109 0.752 0.362
O 0.110 0.415 0.029
O 0.111 0.244 0.138
O 0.113 0.921 0.809
O 0.114 0.092 0.699
O 0.169 0.349 0.243
O 0.172 0.016 0.911
O 0.173 0.326 0.642
O 0.173 0.680 0.862
O 0.173 0.990 0.594
O 0.175 0.322 0.931
O 0.176 0.353 0.528
O 0.176 0.652 0.977
O 0.178 0.016 0.196
O 0.179 0.984 0.308
O 0.189 0.681 0.576
O 0.190 0.653 0.259
O 0.303 0.155 0.759
O 0.303 0.182 0.079
O 0.313 0.483 0.808
O 0.315 0.517 0.696
O 0.317 0.152 0.476
O 0.317 0.489 0.094
O 0.317 0.853 0.028
O 0.318 0.516 0.411
O 0.319 0.180 0.361
O 0.319 0.821 0.430
O 0.320 0.825 0.142
O 0.323 0.847 0.743
O 0.378 0.743 0.637
O 0.383 0.251 0.862
O 0.383 0.591 0.200
O 0.384 0.254 0.578
O 0.384 0.916 0.528
O 0.385 0.085 0.977
O 0.385 0.751 0.925
O 0.386 0.422 0.308
O 0.391 0.916 0.239
O 0.392 0.085 0.264
O 0.393 0.425 0.592
O 0.394 0.582 0.912
O 0.421 0.731 0.245
O 0.421 0.731 0.532
O 0.423 0.603 0.590
O 0.423 0.605 0.304
O 0.426 0.268 0.259
O 0.428 0.071 0.862
O 0.428 0.410 0.196
O 0.428 0.928 0.642
O 0.429 0.265 0.976
O 0.429 0.930 0.928
O 0.432 0.071 0.574
O 0.432 0.408 0.912
O 0.560 0.738 0.029
O 0.561 0.598 0.809
O 0.562 0.263 0.763
O 0.562 0.265 0.476
O 0.562 0.739 0.743
O 0.563 0.404 0.696
O 0.564 0.597 0.098
O 0.567 0.406 0.409
O 0.571 0.065 0.079
O 0.572 0.937 0.426
O 0.574 0.063 0.366
O 0.576 0.939 0.138
O 0.602 0.086 0.762
O 0.602 0.248 0.076
O 0.603 0.583 0.407
O 0.603 0.752 0.431
O 0.607 0.419 0.094
O 0.607 0.584 0.694
O 0.607 0.752 0.142
O 0.609 0.917 0.746
O 0.610 0.420 0.809
O 0.611 0.251 0.361
O 0.616 0.077 0.471
O 0.617 0.925 0.033
O 0.672 0.824 0.929
O 0.673 0.847 0.529
O 0.674 0.847 0.240
O 0.675 0.154 0.263
O 0.676 0.180 0.572
O 0.677 0.818 0.642
O 0.678 0.152 0.975
O 0.680 0.185 0.862
O 0.687 0.490 0.591
O 0.687 0.513 0.914
O 0.689 0.488 0.304
O 0.692 0.515 0.199
O 0.806 0.013 0.413
O 0.807 0.989 0.092
O 0.816 0.651 0.475
O 0.816 0.683 0.362
O 0.817 0.320 0.143
O 0.817 0.678 0.073
O 0.818 0.017 0.695
O 0.818 0.653 0.764
O 0.819 0.348 0.740
O 0.820 0.348 0.029
O 0.821 0.325 0.428
O 0.822 0.989 0.809
O 0.877 0.425 0.533
O 0.878 0.577 0.972
O 0.879 0.423 0.246
O 0.881 0.750 0.862
O 0.882 0.578 0.259
O 0.884 0.918 0.309
O 0.886 0.252 0.642
O 0.887 0.085 0.194
O 0.887 0.918 0.591
O 0.889 0.253 0.932
O 0.890 0.748 0.575
O 0.894 0.083 0.910
O 0.918 0.439 0.638
O 0.919 0.563 0.867
O 0.921 0.437 0.926
O 0.923 0.565 0.577
O 0.928 0.904 0.913
O 0.929 0.241 0.243
O 0.929 0.761 0.262
O 0.929 0.763 0.976
O 0.930 0.903 0.196
O 0.931 0.240 0.529
O 0.932 0.099 0.308
O 0.933 0.097 0.594